VASP calculation (meta-GGA r2SCAN) on a geometry-optimized Li4VF7 structure.

## Properties
The value obtained for the density is 2.50 g/cm³. The space group is No. 216. Its formation energy is -3.1912 eV/atom. Its size of the total moment is 2.00 μB per cell.

abc: 5.837 5.837 5.837
angles: 60.03 60.03 60.04
Atoms (fractional coordinates):
F: 0.250 0.250 0.250
F: 0.238 0.762 0.762
F: 0.238 0.762 0.238
F: 0.762 0.238 0.762
F: 0.238 0.238 0.762
F: 0.762 0.762 0.238
F: 0.762 0.238 0.238
Li: 0.374 0.374 0.374
Li: 0.374 0.878 0.374
Li: 0.878 0.374 0.374
Li: 0.374 0.374 0.878
V: 0.000 0.000 0.000

=====

VASP calculation (meta-GGA r2SCAN) on a geometry-optimized LiVF5 structure.

## Properties
The value obtained for the density is 2.85 g/cm³. The calculation puts the distance to the lowest polymorph of the same formula at 17 meV/atom. The space group is No. 14. Its formation energy is -3.1133 eV/atom. Its size of the total moment is 4.00 μB per cell.

abc: 6.704 6.950 7.643
angles: 89.90 90.00 90.00
Atoms (fractional coordinates):
F: 0.748 0.486 0.125
F: 0.252 0.991 0.876
F: 0.520 0.258 0.381
F: 0.523 0.245 0.875
F: 0.020 0.742 0.119
F: 0.477 0.755 0.125
F: 0.248 0.991 0.376
F: 0.752 0.009 0.624
F: 0.023 0.755 0.625
F: 0.980 0.258 0.881
F: 0.977 0.245 0.375
F: 0.246 0.253 0.626
F: 0.254 0.253 0.126
F: 0.248 0.514 0.375
F: 0.746 0.747 0.874
F: 0.252 0.514 0.875
F: 0.754 0.747 0.374
F: 0.748 0.009 0.124
F: 0.752 0.486 0.625
F: 0.480 0.742 0.619
Li: 0.250 0.752 0.984
Li: 0.750 0.248 0.016
Li: 0.250 0.752 0.484
Li: 0.750 0.248 0.516
V: 0.751 0.747 0.625
V: 0.251 0.253 0.875
V: 0.249 0.253 0.375
V: 0.749 0.747 0.125

=====

VASP calculation (meta-GGA r2SCAN) on a geometry-optimized Li3VF6 structure.

## Properties
The value obtained for the density is 3.07 g/cm³. The calculation puts the distance to the lowest polymorph of the same formula at 0 meV/atom. The space group is No. 15. Its formation energy is -3.2300 eV/atom. Its size of the total moment is 12.00 μB per cell.

abc: 8.289 8.289 9.953
angles: 84.11 84.11 62.69
Atoms (fractional coordinates):
F: 0.229 0.273 0.651
F: 0.426 0.749 0.812
F: 0.241 0.567 0.188
F: 0.758 0.086 0.939
F: 0.759 0.433 0.812
F: 0.433 0.405 0.937
F: 0.567 0.595 0.063
F: 0.902 0.247 0.069
F: 0.412 0.102 0.389
F: 0.433 0.759 0.312
F: 0.434 0.100 0.884
F: 0.574 0.251 0.188
F: 0.900 0.566 0.616
F: 0.080 0.069 0.827
F: 0.595 0.567 0.563
F: 0.242 0.914 0.061
F: 0.100 0.434 0.384
F: 0.727 0.771 0.849
F: 0.069 0.080 0.327
F: 0.931 0.920 0.673
F: 0.567 0.241 0.688
F: 0.098 0.753 0.931
F: 0.086 0.758 0.439
F: 0.251 0.574 0.688
F: 0.749 0.426 0.312
F: 0.588 0.898 0.611
F: 0.405 0.433 0.437
F: 0.273 0.229 0.151
F: 0.771 0.727 0.349
F: 0.920 0.931 0.173
F: 0.566 0.900 0.116
F: 0.898 0.588 0.111
F: 0.247 0.902 0.569
F: 0.102 0.412 0.889
F: 0.914 0.242 0.561
F: 0.753 0.098 0.431
V: 0.338 0.340 0.790
V: 0.660 0.662 0.710
V: 0.000 0.000 0.500
V: 0.000 0.000 0.000
V: 0.662 0.660 0.210
V: 0.340 0.338 0.290
Li: 0.294 0.992 0.225
Li: 0.186 0.814 0.750
Li: 0.992 0.294 0.725
Li: 0.008 0.706 0.275
Li: 0.473 0.863 0.954
Li: 0.368 0.673 0.478
Li: 0.863 0.473 0.454
Li: 0.056 0.348 0.070
Li: 0.327 0.632 0.022
Li: 0.348 0.056 0.570
Li: 0.652 0.944 0.430
Li: 0.673 0.368 0.978
Li: 0.814 0.186 0.250
Li: 0.632 0.327 0.522
Li: 0.944 0.652 0.930
Li: 0.137 0.527 0.546
Li: 0.706 0.008 0.775
Li: 0.527 0.137 0.046

=====

VASP calculation (meta-GGA r2SCAN) on a geometry-optimized Li2VF4 structure.

## Properties
The value obtained for the density is 3.18 g/cm³. The space group is No. 91. Its formation energy is -3.0905 eV/atom. Its size of the total moment is 12.00 μB per cell.

abc: 5.931 5.931 8.365
angles: 90.00 90.00 90.00
Atoms (fractional coordinates):
V: 0.000 0.268 0.000
V: 0.000 0.732 0.500
V: 0.268 0.000 0.750
V: 0.732 0.000 0.250
F: 0.257 0.499 0.988
F: 0.979 0.254 0.248
F: 0.501 0.257 0.238
F: 0.499 0.257 0.762
F: 0.501 0.743 0.262
F: 0.257 0.501 0.512
F: 0.743 0.501 0.488
F: 0.499 0.743 0.738
F: 0.254 0.979 0.502
F: 0.021 0.254 0.752
F: 0.743 0.499 0.012
F: 0.254 0.021 0.998
F: 0.021 0.746 0.748
F: 0.979 0.746 0.252
F: 0.746 0.021 0.002
F: 0.746 0.979 0.498
Li: 0.253 0.253 0.375
Li: 0.283 0.500 0.750
Li: 0.747 0.747 0.875
Li: 0.717 0.500 0.250
Li: 0.500 0.283 0.000
Li: 0.500 0.717 0.500
Li: 0.253 0.747 0.125
Li: 0.747 0.253 0.625

=====

VASP calculation (meta-GGA r2SCAN) on a geometry-optimized LiVF5 structure.

## Properties
The value obtained for the density is 2.60 g/cm³. The calculation puts the distance to the lowest polymorph of the same formula at 21 meV/atom. The space group is No. 2. Its formation energy is -3.1096 eV/atom. Its size of the total moment is 2.00 μB per cell.

abc: 5.420 5.460 7.271
angles: 103.27 103.49 102.73
Atoms (fractional coordinates):
Li: 0.664 0.339 0.235
Li: 0.336 0.661 0.765
F: 0.921 0.295 0.105
F: 0.237 0.328 0.597
F: 0.658 0.799 0.953
F: 0.763 0.672 0.403
F: 0.079 0.705 0.895
F: 0.734 0.126 0.396
F: 0.266 0.874 0.604
F: 0.094 0.951 0.257
F: 0.906 0.049 0.743
F: 0.342 0.201 0.047
V: 0.000 0.000 0.000
V: 0.000 0.000 0.500

=====

VASP calculation (meta-GGA r2SCAN) on a geometry-optimized LiVF5 structure.

## Properties
The value obtained for the density is 3.10 g/cm³. The calculation puts the distance to the lowest polymorph of the same formula at 0 meV/atom. The space group is No. 62. Its formation energy is -3.1304 eV/atom. Its size of the total moment is 4.00 μB per cell.

abc: 5.913 7.476 7.420
angles: 90.00 90.00 90.00
Atoms (fractional coordinates):
F: 0.105 0.250 0.630
F: 0.494 0.750 0.490
F: 0.287 0.985 0.872
F: 0.006 0.250 0.990
F: 0.787 0.985 0.628
F: 0.506 0.250 0.510
F: 0.787 0.515 0.628
F: 0.213 0.485 0.372
F: 0.713 0.485 0.128
F: 0.595 0.750 0.825
F: 0.605 0.250 0.870
F: 0.994 0.750 0.010
F: 0.395 0.750 0.130
F: 0.095 0.750 0.675
F: 0.213 0.015 0.372
F: 0.405 0.250 0.175
F: 0.713 0.015 0.128
F: 0.895 0.750 0.370
F: 0.905 0.250 0.325
F: 0.287 0.515 0.872
Li: 0.225 0.750 0.357
Li: 0.275 0.250 0.857
Li: 0.725 0.750 0.143
Li: 0.775 0.250 0.643
V: 0.768 0.750 0.598
V: 0.732 0.250 0.098
V: 0.268 0.750 0.902
V: 0.232 0.250 0.402

=====

VASP calculation (meta-GGA r2SCAN) on a geometry-optimized LiWF6 structure.

## Properties
The value obtained for the density is 4.71 g/cm³. The space group is No. 14. Its formation energy is -2.8159 eV/atom. Its size of the total moment is 4.00 μB per cell.

abc: 4.972 8.748 9.879
angles: 88.53 90.00 90.00
Atoms (fractional coordinates):
F: 0.018 0.077 0.252
F: 0.167 0.262 0.024
F: 0.574 0.247 0.259
F: 0.519 0.609 0.257
F: 0.751 0.086 0.013
F: 0.667 0.738 0.476
F: 0.811 0.397 0.529
F: 0.833 0.738 0.976
F: 0.189 0.603 0.471
F: 0.426 0.753 0.741
F: 0.333 0.262 0.524
F: 0.749 0.086 0.513
F: 0.982 0.923 0.748
F: 0.074 0.753 0.241
F: 0.482 0.077 0.752
F: 0.251 0.914 0.487
F: 0.981 0.609 0.757
F: 0.689 0.397 0.029
F: 0.481 0.391 0.743
F: 0.518 0.923 0.248
F: 0.249 0.914 0.987
F: 0.019 0.391 0.243
F: 0.926 0.247 0.759
F: 0.311 0.603 0.971
Li: 0.865 0.602 0.581
Li: 0.135 0.398 0.419
Li: 0.365 0.398 0.919
Li: 0.635 0.602 0.081
W: 0.359 0.774 0.361
W: 0.641 0.226 0.639
W: 0.859 0.226 0.139
W: 0.141 0.774 0.861

=====

VASP calculation (meta-GGA r2SCAN) on a geometry-optimized Li3Zr4F19 structure.

## Properties
The value obtained for the density is 3.64 g/cm³. The space group is No. 2. Its formation energy is -3.8296 eV/atom. Its size of the total moment is 0.00 μB per cell.

abc: 5.398 10.774 12.679
angles: 107.20 92.44 103.03
Atoms (fractional coordinates):
F: 0.652 0.588 0.128
F: 0.042 0.219 0.354
F: 0.755 0.250 0.001
F: 0.112 0.984 0.311
F: 0.663 0.005 0.071
F: 0.136 0.430 0.512
F: 0.862 0.849 0.126
F: 0.834 0.249 0.786
F: 0.697 0.678 0.934
F: 0.146 0.461 0.294
F: 0.501 0.277 0.652
F: 0.366 0.069 0.495
F: 0.794 0.893 0.858
F: 0.730 0.218 0.218
F: 0.368 0.547 0.713
F: 0.270 0.782 0.782
F: 0.348 0.412 0.872
F: 0.303 0.322 0.066
F: 0.958 0.781 0.646
F: 0.337 0.995 0.929
F: 0.138 0.151 0.874
F: 0.206 0.107 0.142
F: 0.888 0.016 0.689
F: 0.499 0.723 0.348
F: 0.957 0.194 0.559
F: 0.393 0.017 0.703
F: 0.854 0.539 0.706
F: 0.634 0.931 0.505
F: 0.607 0.983 0.297
F: 0.043 0.806 0.441
F: 0.864 0.570 0.488
F: 0.122 0.518 0.084
F: 0.632 0.453 0.287
F: 0.878 0.482 0.916
F: 0.415 0.704 0.560
F: 0.245 0.750 0.999
F: 0.166 0.751 0.214
F: 0.585 0.296 0.440
Zr: 0.066 0.338 0.947
Zr: 0.899 0.053 0.208
Zr: 0.934 0.662 0.053
Zr: 0.101 0.947 0.792
Zr: 0.667 0.125 0.629
Zr: 0.862 0.384 0.366
Zr: 0.138 0.616 0.634
Zr: 0.333 0.875 0.371
Li: 0.598 0.498 0.798
Li: 0.476 0.162 0.058
Li: 0.285 0.259 0.511
Li: 0.715 0.741 0.489
Li: 0.524 0.838 0.942
Li: 0.402 0.502 0.202